DFT (GGA-PBE) results for a relaxed structure of MnC4Br3N.

Formation energy from the elements in eV/atom: 1.112
Relative energy among the computed polymorphs in meV/atom: 476
Space group: P6_3 (173)
Crystal system: hexagonal
M_tot in μB per cell: 9.9

Lattice parameters (Å, degrees): 8.422 8.422 6.235 90.00 90.00 120.00
Sites, in units of the cell vectors:
1 Mn 0.000 0.000 0.000
2 Br 0.178 0.908 0.248
3 C 0.439 0.635 0.728
4 Br 0.729 0.822 0.248
5 Mn 0.000 0.000 0.500
6 C 0.635 0.196 0.228
7 Br 0.092 0.271 0.248
8 C 0.667 0.333 0.057
9 C 0.196 0.561 0.728
10 C 0.561 0.365 0.228
11 C 0.365 0.804 0.728
12 N 0.667 0.333 0.396
13 Br 0.822 0.092 0.748
14 N 0.333 0.667 0.896
15 Br 0.908 0.729 0.748
16 C 0.804 0.439 0.228
17 Br 0.271 0.178 0.748
18 C 0.333 0.667 0.557